## NaMgFeO2 (GGA+U)

Data for a relaxed structure of NaMgFeO2.

Properties
The calculation puts the energy above the most stable polymorph in this dataset at 19.9 kJ/mol of formula units. The value obtained for the total magnetization is 3.96 μB/f.u.

Unit cell a=3.204 b=3.204 c=8.356 alpha=78.95 beta=78.95 gamma=60.00
Sites, in units of the cell vectors:
Na (0.454, 0.454, 0.638)
Mg (0.590, 0.590, 0.231)
Fe (0.022, 0.022, 0.933)
O (0.291, 0.291, 0.128)
O (0.727, 0.727, 0.820)